VASP calculation (PBE-GGA) on a relaxed structure of HfPbO3.

Unit cell a=5.9314 b=8.3040 c=11.8041 alpha=90.00 beta=90.00 gamma=90.00
Closest atoms and distances in Å follow each position.
Positions (direct):
Hf 0.2569 0.2532 0.6207  6 O 2.03-2.22
Hf 0.2431 0.2532 0.1207  6 O 2.03-2.22
Hf 0.7437 0.7546 0.3788  6 O 2.04-2.22
Hf 0.2437 0.7546 0.1212  6 O 2.04-2.22
Hf 0.7569 0.2532 0.8793  6 O 2.03-2.22
Hf 0.2563 0.7546 0.6212  6 O 2.04-2.22
Hf 0.7563 0.7546 0.8788  6 O 2.04-2.22
Hf 0.7431 0.2532 0.3793  6 O 2.03-2.22
Pb 0.2018 0.9917 0.3655  4 O 2.53-2.64
Pb 0.2020 0.4921 0.3606  3 O 2.40-2.63
Pb 0.2982 0.9917 0.8655  4 O 2.53-2.64
Pb 0.7982 0.9917 0.6345  4 O 2.53-2.64
Pb 0.7018 0.9917 0.1345  4 O 2.53-2.64
Pb 0.2980 0.4921 0.8606  3 O 2.40-2.63
Pb 0.7020 0.4921 0.1394  3 O 2.40-2.63
Pb 0.7980 0.4921 0.6394  3 O 2.40-2.63
O 0.0000 0.7715 0.0000  2 Hf 2.04
O 0.2238 0.0074 0.6451  2 Hf 2.07-2.13
O 0.2171 0.5079 0.6213  2 Hf 2.06-2.13
O 0.9621 0.7509 0.7374  2 Hf 2.07-2.22
O 0.0000 0.7865 0.5000  2 Hf 2.10
O 0.7829 0.5079 0.3787  2 Hf 2.06-2.13
O 0.5379 0.7509 0.2374  2 Hf 2.07-2.22
O 0.5284 0.2744 0.2412  2 Hf 2.08-2.22
O 0.5000 0.7865 0.0000  2 Hf 2.10
O 0.7238 0.0074 0.8549  2 Hf 2.07-2.13
O 0.7171 0.5079 0.8787  2 Hf 2.06-2.13
O 0.0284 0.2744 0.2588  2 Hf 2.08-2.22
O 0.5000 0.7715 0.5000  2 Hf 2.04
O 0.0000 0.2479 0.5000  2 Hf 2.09
O 0.4621 0.7509 0.7626  2 Hf 2.07-2.22
O 0.5000 0.2497 0.5000  2 Hf 2.03
O 0.0379 0.7509 0.2626  2 Hf 2.07-2.22
O 0.4716 0.2744 0.7588  2 Hf 2.08-2.22
O 0.7762 0.0074 0.3549  2 Hf 2.07-2.13
O 0.2829 0.5079 0.1213  2 Hf 2.06-2.13
O 0.2762 0.0074 0.1451  2 Hf 2.07-2.13
O 0.0000 0.2497 0.0000  2 Hf 2.03
O 0.9716 0.2744 0.7412  2 Hf 2.08-2.22
O 0.5000 0.2479 0.0000  2 Hf 2.09

Calculated values
Uncorrected energy (eV per atom): -8.28
E (MP2020) (eV per cell): -347.59
Spin magnetization (μB per atom): 0.0000
Calculated formation energy (kJ/mol of atoms): -288
Theoretical density (kg/m³): 9909